# 1
Below is Mg5CdN4 after structural relaxation, with properties calculated at the PBE level.

The structure in extended XYZ format:
```
20
Lattice="-0.791 -3.479 6.640 6.708 -1.215 0.163 0.767 4.567 2.484" Properties=species:S:1:pos:R:3 pbc="T T T"
Mg 3.118 -1.383 4.416
Mg 2.814 -2.724 6.975
Mg 6.453 -1.987 4.497
Mg 6.148 -3.328 7.055
Mg 3.565 1.256 4.871
Mg 3.870 2.596 2.312
Mg 0.231 1.860 4.790
Mg 0.536 3.200 2.231
Mg 5.006 -0.138 6.942
Mg 1.678 0.010 2.344
Cd 1.639 0.392 6.818
Cd 5.045 -0.519 2.468
N 6.783 0.655 7.569
N 3.592 1.233 7.492
N -0.099 -0.783 1.717
N 3.092 -1.361 1.795
N 5.018 -0.355 4.820
N 4.646 -1.989 7.939
N 1.666 0.227 4.467
N 2.038 1.862 1.348
```

Calculated values
**Calculated formation energy**: -0.564 eV/atom
**V**: 270.1 Å³ per cell

=====

# 2
Below is BaEuTi4O12 after structural relaxation, with properties calculated at the PBE level.

The structure in extended XYZ format:
```
18
Lattice="-5.273 -2.226 -1.198 0.666 -3.897 4.309 -3.448 5.300 5.326" Properties=species:S:1:pos:R:3 pbc="T T T"
Ba -2.303 -3.061 1.555
Eu -1.724 2.650 2.663
Ti -2.257 2.034 6.156
Ti -0.524 -0.630 3.479
Ti -5.227 2.869 3.403
Ti -3.494 0.205 0.725
O -3.709 2.446 4.742
O -2.011 -0.165 2.118
O -6.044 -0.658 6.318
O -4.346 -3.268 3.695
O -6.382 1.317 4.134
O -4.683 -1.293 1.511
O -3.371 0.470 6.926
O -1.673 -2.140 4.303
O -1.391 0.702 4.817
O 0.333 -1.948 2.154
O -4.360 1.537 2.064
O -2.636 -1.113 -0.599
```

Calculated values
**Calculated formation energy**: -2.886 eV/atom
**V**: 282.7 Å³ per cell

=====

# 3
Below is MgCd after structural relaxation, with properties calculated at the PBE level.

The structure in extended XYZ format:
```
2
Lattice="0.000 3.324 3.324 3.324 0.000 3.324 3.324 3.324 0.000" Properties=species:S:1:pos:R:3 pbc="T T T"
Mg 4.985 4.985 4.985
Cd 0.000 0.000 0.000
```

Calculated values
**Calculated formation energy**: 0.462 eV/atom
**V**: 73.4 Å³ per cell

=====

# 4
Below is CsDyI3 after structural relaxation, with properties calculated at the PBE level.

The structure in extended XYZ format:
```
20
Lattice="-3.076 -7.776 -1.054 7.585 -3.350 2.579 -3.927 -0.011 11.537" Properties=species:S:1:pos:R:3 pbc="T T T"
Cs 3.159 -10.803 4.284
Cs -0.213 -5.619 9.578
Cs 0.795 -5.517 3.484
Cs -2.577 -0.333 8.778
Dy -1.538 -3.888 -0.527
Dy 3.793 -1.675 1.289
Dy 1.829 -1.680 7.058
Dy -3.501 -3.893 5.241
I 2.665 -1.969 4.124
I -4.577 -4.211 8.093
I 5.159 -6.926 4.968
I -2.082 -9.167 8.938
I -0.843 -6.830 -0.039
I -2.580 -3.171 11.738
I 1.354 -7.970 6.636
I 3.234 -4.302 7.788
I 1.426 -4.307 13.101
I 3.163 -7.965 1.323
I -0.772 -3.167 6.425
I -2.652 -6.835 5.274
```

Calculated values
**Calculated formation energy**: -1.477 eV/atom
**V**: 892.0 Å³ per cell

=====

# 5
Below is MnGaPt2 after structural relaxation, with properties calculated at the PBE level.

The structure in extended XYZ format:
```
4
Lattice="-0.856 -2.479 3.539 -3.611 -2.520 0.102 0.365 -4.383 -0.241" Properties=species:S:1:pos:R:3 pbc="T T T"
Mn 0.000 0.000 0.000
Ga -2.051 -4.691 1.700
Pt -3.077 -7.036 2.550
Pt -1.026 -2.345 0.850
```

Calculated values
**Calculated formation energy**: -0.479 eV/atom
**V**: 60.4 Å³ per cell

=====

# 6
Below is PaAl3 after structural relaxation, with properties calculated at the PBE level.

The structure in extended XYZ format:
```
4
Lattice="4.307 0.000 0.000 0.000 4.307 0.000 0.000 0.000 4.307" Properties=species:S:1:pos:R:3 pbc="T T T"
Pa 0.000 0.000 0.000
Al 0.000 2.153 2.153
Al 2.153 0.000 2.153
Al 2.153 2.153 0.000
```

Calculated values
**Calculated formation energy**: -0.250 eV/atom
**ΔE to the lowest computed polymorph**: 1.4 kJ/mol of atoms
**V**: 79.9 Å³ per cell

=====

# 7
Below is In2O3 after structural relaxation, with properties calculated at the PBE level.

The structure in extended XYZ format:
```
10
Lattice="1.497 4.497 -3.479 -2.711 5.215 0.123 2.543 4.912 1.992" Properties=species:S:1:pos:R:3 pbc="T T T"
In 0.190 2.088 -0.195
In 0.475 5.224 -0.487
In 0.854 9.401 -0.877
In 1.139 12.537 -1.169
O 2.140 8.277 -2.196
O 0.012 5.966 -2.460
O 2.459 5.966 -0.077
O -1.131 8.658 -1.287
O -0.811 6.348 0.833
O 1.316 8.658 1.097
```

Calculated values
**Calculated formation energy**: -1.968 eV/atom
**V**: 132.8 Å³ per cell

=====

# 8
Below is BAuO3 after structural relaxation, with properties calculated at the PBE level.

The structure in extended XYZ format:
```
5
Lattice="3.497 0.000 0.000 0.000 3.497 0.000 0.000 0.000 3.497" Properties=species:S:1:pos:R:3 pbc="T T T"
B 1.748 1.748 1.748
Au 0.000 0.000 0.000
O 1.748 1.748 0.000
O 1.748 0.000 1.748
O 0.000 1.748 1.748
```

Calculated values
**Calculated formation energy**: -0.301 eV/atom
**V**: 42.8 Å³ per cell